1.
This record from Materials Project describes an optimized crystal structure of Co4NiSb12. The functional is GGA-PBE.

Its calculated volume is 751.4 Å³/cell. Its formation energy is -171 meV/atom. For the magnetic moment, the calculation gives 0.41 μB per formula unit. The value obtained for the theoretical density is 7.76 g/cm³.

The structure belongs to space group Im-3 (No. 204); the cell edges are 9.0913, 9.0913 and 9.0913 Å and the angles 90.00°, 90.00° and 90.00°. The distinct sites, in fractional coordinates, are Co at (0.2500, 0.2500, 0.2500), Ni at (0.0000, 0.0000, 0.0000) and Sb at (0.0000, 0.1581, 0.3235).

***

2.
This record from Materials Project describes an optimized crystal structure of Sc2CoNi. The functional is GGA-PBE.

Its calculated volume is 246.4 Å³/cell. Its formation energy is -428 meV/atom. The value obtained for the theoretical density is 5.59 g/cm³.

The structure belongs to space group Fm-3m (No. 225); the cell edges are 6.2695, 6.2695 and 6.2695 Å and the angles 90.00°, 90.00° and 90.00°. The distinct sites, in fractional coordinates, are Sc at (0.2500, 0.2500, 0.2500), Co at (0.0000, 0.0000, 0.0000) and Ni at (0.0000, 0.0000, 0.5000).

***

3.
This record from Materials Project describes an optimized crystal structure of CoNi2Se4. The functional is GGA-PBE.

Its calculated volume is 231.6 Å³/cell. Its formation energy is -540 meV/atom. For the magnetic moment, the calculation gives 0.03 μB per formula unit. The value obtained for the theoretical density is 7.06 g/cm³.

The structure belongs to space group C2/m (No. 12); the cell edges are 11.8323, 3.6348 and 6.1650 Å and the angles 90.00°, 119.11° and 90.00°. The distinct sites, in fractional coordinates, are Co at (0.0000, 0.0000, 0.0000), Ni at (0.2359, 0.5000, 0.7104), Se at (0.1142, 0.0000, 0.4511) and Se at (0.1327, 0.5000, 0.9794).

***

4.
This record from Materials Project describes an optimized crystal structure of CoNiSe2. The functional is GGA-PBE.

Its calculated volume is 59.8 Å³/cell. Its formation energy is -431 meV/atom. For the magnetic moment, the calculation gives 0.07 μB per formula unit. The value obtained for the theoretical density is 7.65 g/cm³.

The structure belongs to space group P-3m1 (No. 164); the cell edges are 3.6547, 3.6547 and 5.1716 Å and the angles 90.00°, 90.00° and 120.00°. The distinct sites, in fractional coordinates, are Co at (0.0000, 0.0000, 0.0000), Ni at (0.0000, 0.0000, 0.5000) and Se at (0.3333, 0.6667, 0.7633).

***

5.
This record from Materials Project describes an optimized crystal structure of CoNi2Se4. The functional is GGA-PBE.

Its calculated volume is 232.2 Å³/cell. Its formation energy is -552 meV/atom. For the magnetic moment, the calculation gives 0.01 μB per formula unit. The value obtained for the theoretical density is 7.04 g/cm³.

The structure belongs to space group Cm (No. 8); the cell edges are 11.9908, 3.6315 and 6.1646 Å and the angles 90.00°, 120.10° and 90.00°. The distinct sites, in fractional coordinates, are Co at (0.0000, 0.0000, 0.0000), Ni at (0.2381, 0.5000, 0.7239), Ni at (0.4804, 0.0000, 0.4437), Se at (0.1043, 0.0000, 0.7477), Se at (0.1179, 0.5000, 0.2574), Se at (0.3634, 0.5000, 0.1752) and Se at (0.3765, 0.0000, 0.7021).

***

6.
This record from Materials Project describes an optimized crystal structure of CoSi4Ni3. The functional is GGA-PBE.

Its calculated volume is 95.9 Å³/cell. Its formation energy is -523 meV/atom. The value obtained for the theoretical density is 6.02 g/cm³.

The structure belongs to space group Pm (No. 6); the cell edges are 5.2174, 3.2320 and 5.6862 Å and the angles 90.00°, 90.18° and 90.00°. The distinct sites, in fractional coordinates, are Co at (0.0000, 0.0000, 0.0000), Si at (0.1699, 0.0000, 0.6173), Si at (0.3049, 0.5000, 0.1100), Si at (0.6772, 0.0000, 0.2662), Si at (0.8170, 0.5000, 0.7718), Ni at (0.4864, 0.5000, 0.5013), Ni at (0.5006, 0.0000, 0.8794) and Ni at (0.9853, 0.5000, 0.3809).

***

7.
This record from Materials Project describes an optimized crystal structure of SmCo3Ni2. The functional is GGA-PBE.

Its calculated volume is 84.8 Å³/cell. Its formation energy is -153 meV/atom. For the magnetic moment, the calculation gives 4.90 μB per formula unit. The value obtained for the theoretical density is 8.71 g/cm³.

The structure belongs to space group P6/mmm (No. 191); the cell edges are 4.9234, 4.9234 and 4.0405 Å and the angles 90.00°, 90.00° and 120.00°. The distinct sites, in fractional coordinates, are Sm at (0.0000, 0.0000, 0.0000), Co at (0.0000, 0.5000, 0.5000) and Ni at (0.3333, 0.6667, 0.0000).

***

8.
This record from Materials Project describes an optimized crystal structure of Sm2Co5Ni5. The functional is GGA-PBE.

Its calculated volume is 167.7 Å³/cell. Its formation energy is -143 meV/atom. For the magnetic moment, the calculation gives 8.83 μB per formula unit. The value obtained for the theoretical density is 8.80 g/cm³.

The structure belongs to space group Pmmm (No. 47); the cell edges are 3.9716, 4.9482 and 8.5354 Å and the angles 90.00°, 90.00° and 90.00°. The distinct sites, in fractional coordinates, are Sm at (0.0000, 0.0000, 0.0000), Sm at (0.0000, 0.5000, 0.5000), Co at (0.0000, 0.0000, 0.3332), Co at (0.0000, 0.5000, 0.1629), Co at (0.5000, 0.5000, 0.0000), Ni at (0.5000, 0.0000, 0.5000) and Ni at (0.5000, 0.2497, 0.2498).

***

| no. | E_tot (eV/atom) |
| --- | --- |
| 1 | -4.9630 |
| 2 | -6.8161 |
| 3 | -4.9350 |
| 4 | -5.1647 |
| 5 | -4.9464 |
| 6 | -6.2921 |
| 7 | -6.4198 |
| 8 | -6.2992 |